[1]
{
  "formula": "Li2CrSi2O6",
  "functional": "GGA+U",
  "state": "relaxed",
  "total_magnetization_mub_per_fu": 4.00,
  "relative_energy_mev_per_atom": 28.4,
  "cell": [[3.018, 5.023, 0.075], [-3.018, 5.023, -0.079], [-0.343, -0.003, 9.119]],
  "species": ["Si", "Si", "Si", "Si", "Cr", "Cr", "O", "O", "O", "O", "O", "O", "O", "O", "O", "O", "O", "O", "Li", "Li", "Li", "Li"],
  "fractional_positions": [[0.872, 0.199, 0.362], [0.801, 0.128, 0.862], [0.128, 0.801, 0.638], [0.199, 0.872, 0.138], [0.244, 0.244, 0.750], [0.756, 0.756, 0.250], [0.878, 0.878, 0.750], [0.000, 0.000, 0.500], [0.235, 0.503, 0.592], [0.850, 0.355, 0.784], [0.497, 0.765, 0.092], [0.000, 0.000, 0.000], [0.122, 0.122, 0.250], [0.765, 0.497, 0.409], [0.503, 0.235, 0.908], [0.646, 0.150, 0.284], [0.150, 0.645, 0.216], [0.354, 0.850, 0.716], [0.690, 0.591, 0.614], [0.310, 0.409, 0.386], [0.410, 0.309, 0.114], [0.590, 0.691, 0.886]]
}

[2]
{
  "formula": "Li3Cr3SiO8",
  "functional": "GGA+U",
  "state": "relaxed",
  "total_magnetization_mub_per_fu": 0.00,
  "energy_ev_per_atom": -7.0799,
  "cell": [[0.538, -4.929, 0.852], [0.783, -0.677, 5.048], [-11.449, -0.966, 1.645]],
  "species": ["O", "O", "O", "O", "O", "O", "O", "O", "O", "O", "O", "O", "O", "O", "O", "O", "Cr", "Cr", "Cr", "Cr", "Cr", "Cr", "Li", "Li", "Li", "Li", "Li", "Li", "Si", "Si"],
  "fractional_positions": [[0.728, 0.706, 0.500], [0.282, 0.708, 0.384], [0.767, 0.729, 0.750], [0.282, 0.708, 0.116], [0.718, 0.292, 0.884], [0.718, 0.292, 0.616], [0.767, 0.729, 0.250], [0.718, 0.292, 0.384], [0.282, 0.708, 0.884], [0.718, 0.292, 0.116], [0.728, 0.706, 0.000], [0.233, 0.271, 0.250], [0.272, 0.294, 0.000], [0.233, 0.271, 0.750], [0.282, 0.708, 0.616], [0.272, 0.294, 0.500], [0.000, 0.500, 0.378], [0.500, 0.500, 0.750], [0.000, 0.500, 0.122], [0.000, 0.500, 0.622], [0.500, 0.500, 0.250], [0.000, 0.500, 0.878], [0.500, 0.000, 0.382], [0.500, 0.000, 0.882], [0.500, 0.000, 0.618], [0.000, 0.000, 0.250], [0.500, 0.000, 0.118], [0.000, 0.000, 0.750], [0.500, 0.500, 0.500], [0.500, 0.500, 0.000]]
}

[3]
{
  "formula": "Li2CrSi6O15",
  "functional": "GGA+U",
  "state": "relaxed",
  "total_magnetization_mub_per_fu": 2.00,
  "relative_energy_mev_per_atom": 53.8,
  "cell": [[6.703, 0.000, 0.000], [-2.626, 6.850, 0.000], [-2.995, -2.176, 6.337]],
  "species": ["O", "O", "O", "O", "O", "O", "O", "O", "O", "O", "O", "O", "O", "O", "O", "Si", "Si", "Si", "Si", "Si", "Si", "Li", "Li", "Cr"],
  "fractional_positions": [[0.154, 0.651, 0.265], [0.310, 0.635, 0.986], [0.954, 0.824, 0.749], [0.623, 0.849, 0.399], [0.176, 0.231, 0.947], [0.175, 0.394, 0.627], [0.377, 0.151, 0.601], [0.825, 0.606, 0.373], [0.824, 0.769, 0.053], [0.846, 0.349, 0.735], [0.661, 0.011, 0.855], [0.339, 0.989, 0.145], [0.500, 0.500, 0.500], [0.690, 0.365, 0.014], [0.046, 0.176, 0.251], [0.131, 0.393, 0.828], [0.353, 0.787, 0.202], [0.869, 0.607, 0.172], [0.276, 0.304, 0.487], [0.724, 0.696, 0.513], [0.647, 0.213, 0.798], [0.704, 0.171, 0.191], [0.296, 0.829, 0.809], [0.000, 0.000, 0.000]]
}